Record 1
Below is crystalline Sm2Mo4O15 at its relaxed geometry, with properties calculated at the r²SCAN level.

Calculated values
Total moment, μB per formula unit: 0.000
Crystal system: triclinic
Energy, eV/cell: -925.62
Calculated volume, Å³/cell: 969.2
ΔH_f (0 K), eV/atom: -2.6284

a b c (Å): 9.3921 10.9652 11.5079
angles (deg): 104.34 109.47 108.93
With the nearest neighbours (Å) after each atom.
Space group P-1 (No. 2)
One atom of each set of equivalent atoms:
Sm 0.1650 0.3408 0.2014  8 O 2.34-2.49
Sm 0.2655 0.7769 0.8248  8 O 2.33-2.55
Sm 0.2845 0.9435 0.4094  7 O 2.31-2.51
Mo 0.0261 0.4342 0.8670  4 O 1.74-1.85
Mo 0.0842 0.2235 0.4810  4 O 1.74-1.79
Mo 0.2326 0.0183 0.0793  4 O 1.76-1.79
Mo 0.4106 0.4670 0.8181  3 O 1.71-1.86
Mo 0.4151 0.6888 0.5530  4 O 1.75-1.80
Mo 0.4338 0.1317 0.7968  4 O 1.75-1.78
O 0.0252 0.2664 0.3389  1 Mo 1.78
O 0.0481 0.5737 0.8055  1 Mo 1.82
O 0.0833 0.8349 0.4793  1 Mo 1.75
O 0.0895 0.4435 0.0403  1 Mo 1.85
O 0.1154 0.8564 0.9336  1 Mo 1.79
O 0.1574 0.0974 0.4512  1 Mo 1.74
O 0.1652 0.1453 0.0524  1 Mo 1.76
O 0.1657 0.7129 0.2451  1 Mo 1.75
O 0.1731 0.3876 0.8328  1 Mo 1.74
O 0.2099 0.9846 0.2154  1 Mo 1.76
O 0.2539 0.3813 0.6192  1 Mo 1.79
O 0.2740 0.6914 0.6216  1 Mo 1.76
O 0.2811 0.9911 0.8003  1 Mo 1.75
O 0.3134 0.5356 0.4072  1 Mo 1.75
O 0.3520 0.2547 0.7746  1 Mo 1.78
O 0.3811 0.7872 0.0520  1 Mo 1.75
O 0.3913 0.6200 0.8327  1 Mo 1.72
O 0.3966 0.2998 0.3329  1 Mo 1.76
O 0.4077 0.4970 0.1995  1 Mo 1.71
O 0.4449 0.0784 0.1112  1 Mo 1.76
O 0.4659 0.8402 0.5122  1 Mo 1.80
O 0.4707 0.0658 0.6582  1 Mo 1.77
O 0.5000 0.5000 0.0000  2 Mo 1.86

Record 2
Below is crystalline Sm2MoO6 at its relaxed geometry, with properties calculated at the r²SCAN level.

Calculated values
Total moment, μB per formula unit: 0.000
Crystal system: monoclinic
Energy, eV/cell: -1201.12
Calculated volume, Å³/cell: 973.2
ΔH_f (0 K), eV/atom: -3.1964

a b c (Å): 16.6149 11.2774 5.4667
angles (deg): 90.00 108.17 90.00
With the nearest neighbours (Å) after each atom.
Space group C2/c (No. 15)
One atom of each set of equivalent atoms:
Sm 0.0000 0.1098 0.2500  6 O 2.28-2.43
Sm 0.0000 0.3662 0.7500  6 O 2.26-2.50
Sm 0.1703 0.1167 0.8814  6 O 2.23-2.50
Mo 0.1538 0.3576 0.4390  4 O 1.79-1.82
O 0.0742 0.2376 0.5853  1 Mo 2.21, 3 Sm 2.26-2.36
O 0.0808 0.4657 0.4821  1 Mo 1.79
O 0.0924 0.0171 0.0793  4 Sm 2.23-2.43
O 0.1062 0.2796 0.1387  1 Mo 1.81
O 0.2277 0.2979 0.7334  1 Mo 1.82
O 0.2323 0.4459 0.3614  1 Mo 1.79

Record 3
Below is crystalline Te2MoO7 at its relaxed geometry, with properties calculated at the r²SCAN level.

Calculated values
Total moment, μB per formula unit: 0.000
Crystal system: monoclinic
Energy, eV/cell: -535.29
Calculated volume, Å³/cell: 592.1
ΔH_f (0 K), eV/atom: -1.5109

a b c (Å): 4.2771 8.7662 15.8661
angles (deg): 90.00 95.58 90.00
With the nearest neighbours (Å) after each atom.
Space group P2_1/c (No. 14)
One atom of each set of equivalent atoms:
Te 0.1550 0.0382 0.2755  4 O 1.90-2.10
Te 0.3068 0.2020 0.6093  3 O 1.87-2.03
Mo 0.1215 0.6352 0.5683  2 O 1.71-1.72
O 0.0304 0.1057 0.0502  2 Mo 1.95-2.16
O 0.0340 0.6736 0.0639  1 Mo 1.72
O 0.0582 0.6018 0.6852  1 Te 1.90, 1 Mo 1.92
O 0.0928 0.6459 0.8568  2 Te 1.91-2.10
O 0.4227 0.1576 0.1950  2 Te 1.87-2.08
O 0.4275 0.0258 0.6894  2 Te 1.90-2.03
O 0.4793 0.1260 0.9317  1 Mo 1.71

Record 4
Below is crystalline TlMo6O17 at its relaxed geometry, with properties calculated at the r²SCAN level.

Calculated values
Total moment, μB per formula unit: 0.000
Crystal system: trigonal
Energy, eV/cell: -361.40
Calculated volume, Å³/cell: 371.3
ΔH_f (0 K), eV/atom: -2.0941

a b c (Å): 5.5367 5.5367 13.9842
angles (deg): 90.00 90.00 120.00
With the nearest neighbours (Å) after each atom.
Space group P3m1 (No. 156)
One atom of each set of equivalent atoms:
Tl 0.0000 0.0000 0.0000  12 O 2.96-3.21
Mo 0.0000 0.0000 0.2863  3 O 1.78
Mo 0.0000 0.0000 0.7146  3 O 1.78
Mo 0.3333 0.6667 0.4313  6 O 1.87-2.01
Mo 0.3333 0.6667 0.8604  4 O 1.73-1.77
Mo 0.6667 0.3333 0.1405  4 O 1.73-1.77
Mo 0.6667 0.3333 0.5697  6 O 1.87-2.01
O 0.0000 0.5000 0.5005  2 Mo 1.87
O 0.1588 0.3176 0.8189  1 Mo 1.77
O 0.1635 0.3270 0.3465  1 Mo 1.78
O 0.3176 0.1588 0.1821  1 Mo 1.77
O 0.3271 0.1635 0.6545  1 Mo 1.78
O 0.3333 0.6667 0.9838  1 Mo 1.73
O 0.6667 0.3333 0.0170  1 Mo 1.73

Record 5
Below is crystalline VMoO5 at its relaxed geometry, with properties calculated at the r²SCAN level.

Calculated values
Total moment, μB per formula unit: 1.000
Crystal system: tetragonal
Energy, eV/cell: -172.49
Calculated volume, Å³/cell: 182.1
ΔH_f (0 K), eV/atom: -2.3175

a b c (Å): 6.5847 6.5847 4.1999
angles (deg): 90.00 90.00 90.00
With the nearest neighbours (Å) after each atom.
Space group P4/n (No. 85, origin choice 2)
One atom of each set of equivalent atoms:
V 0.2500 0.2500 0.1602  1 O 1.62
Mo 0.2500 0.7500 0.5000  4 O 1.76
O 0.0362 0.8006 0.7401  1 Mo 1.76, 1 V 1.96
O 0.2500 0.2500 0.7741  1 V 1.62

Record 6
Below is crystalline V2MoO8 at its relaxed geometry, with properties calculated at the r²SCAN level.

Calculated values
Total moment, μB per formula unit: 0.000
Crystal system: monoclinic
Energy, eV/cell: -254.31
Calculated volume, Å³/cell: 287.7
ΔH_f (0 K), eV/atom: -2.2841

a b c (Å): 18.9604 3.6473 4.1598
angles (deg): 90.00 90.17 90.00
With the nearest neighbours (Å) after each atom.
Space group Cm (No. 8)
One atom of each set of equivalent atoms:
V 0.0000 0.0000 0.0000  2 O 1.60-1.78
V 0.1215 0.5000 0.7905  2 O 1.60-1.77
Mo 0.3113 0.5000 0.8057  4 O 1.69-1.89
O 0.0191 0.5000 0.9035  3 V 1.90-2.00
O 0.1017 0.0000 0.8889  3 V 1.91-1.98
O 0.1221 0.5000 0.4059  1 V 1.60
O 0.2125 0.5000 0.8869  1 V 1.77, 1 Mo 1.90
O 0.3104 0.0000 0.9023  2 Mo 1.87
O 0.3111 0.5000 0.3997  1 Mo 1.69
O 0.4090 0.5000 0.8926  1 V 1.78, 1 Mo 1.89
O 0.4981 0.5000 0.3845  1 V 1.60

Record 7
Below is crystalline MoWO6 at its relaxed geometry, with properties calculated at the r²SCAN level.

Calculated values
Total moment, μB per formula unit: 0.000
Crystal system: monoclinic
Energy, eV/cell: -261.51
Calculated volume, Å³/cell: 225.5
ΔH_f (0 K), eV/atom: -2.1848

a b c (Å): 5.5472 5.4978 7.3955
angles (deg): 90.00 90.01 90.00
With the nearest neighbours (Å) after each atom.
Space group Cm (No. 8)
One atom of each set of equivalent atoms:
Mo 0.0000 0.0000 0.0000  4 O 1.72-1.90
W 0.1407 0.0000 0.4999  4 O 1.78-1.90
O 0.0773 0.0000 0.2469  1 Mo 1.88, 1 W 1.90
O 0.0786 0.0000 0.7504  1 W 1.88, 1 Mo 1.90
O 0.3056 0.2556 0.9984  1 Mo 1.72
O 0.3478 0.2474 0.4983  1 W 1.78

Record 8
Below is crystalline Y4Mo4O11 at its relaxed geometry, with properties calculated at the r²SCAN level.

Calculated values
Total moment, μB per formula unit: 0.000
Crystal system: orthorhombic
Energy, eV/cell: -1231.09
Calculated volume, Å³/cell: 957.2
ΔH_f (0 K), eV/atom: -2.9754

a b c (Å): 10.6862 15.8459 5.6527
angles (deg): 90.00 90.00 90.00
With the nearest neighbours (Å) after each atom.
Space group Pbam (No. 55)
One atom of each set of equivalent atoms:
Y 0.0785 0.0987 0.0000  7 O 2.25-2.39
Y 0.0971 0.2372 0.5000  5 O 2.26-2.34
Y 0.1176 0.9229 0.5000  5 O 2.22-2.29
Y 0.1851 0.7765 0.0000  7 O 2.25-2.44
Mo 0.0826 0.4403 0.5000  4 O 2.04-2.13
Mo 0.0916 0.4320 0.0000  4 O 2.08
Mo 0.1333 0.5844 0.2265  5 O 2.06-2.09
O 0.0000 0.0000 0.2542  4 Y 2.24-2.28
O 0.0402 0.6644 0.0000  3 Mo 2.06-2.08
O 0.0407 0.8267 0.2527  4 Y 2.22-2.27
O 0.0487 0.6527 0.5000  3 Mo 2.04-2.09
O 0.1858 0.3634 0.2590  2 Mo 2.08-2.13
O 0.2258 0.1739 0.2369  1 Mo 2.07, 2 Y 2.26-2.31
O 0.2296 0.5240 0.5000  3 Mo 2.06-2.09, 1 Y 2.29
O 0.2440 0.5135 0.0000  3 Mo 2.07-2.08

Record 9
Below is crystalline YMoO3 at its relaxed geometry, with properties calculated at the r²SCAN level.

Calculated values
Total moment, μB per formula unit: 3.000
Crystal system: orthorhombic
Energy, eV/cell: -313.10
Calculated volume, Å³/cell: 245.9
ΔH_f (0 K), eV/atom: -2.7944

a b c (Å): 5.8156 7.8261 5.4019
angles (deg): 90.00 90.00 90.00
With the nearest neighbours (Å) after each atom.
Space group Pnma (No. 62)
One atom of each set of equivalent atoms:
Y 0.0712 0.2500 0.0217  4 O 2.23-2.30
Mo 0.0000 0.0000 0.5000  6 O 2.11-2.12
O 0.0621 0.7500 0.3646  2 Mo 2.12, 2 Y 2.23-2.30
O 0.1896 0.5665 0.8190  2 Mo 2.11-2.12, 1 Y 2.26

Record 10
Below is crystalline Y2Mo3O12 at its relaxed geometry, with properties calculated at the r²SCAN level.

Calculated values
Total moment, μB per formula unit: 0.000
Crystal system: orthorhombic
Energy, eV/cell: -949.30
Calculated volume, Å³/cell: 1415.2
ΔH_f (0 K), eV/atom: -2.7537

a b c (Å): 13.9917 10.0165 10.0977
angles (deg): 90.00 90.00 90.00
With the nearest neighbours (Å) after each atom.
Space group Pbcn (No. 60)
One atom of each set of equivalent atoms:
Y 0.1184 0.2492 0.0325  6 O 2.23-2.26
Mo 0.0000 0.0271 0.7500  4 O 1.76
Mo 0.1429 0.3914 0.3860  4 O 1.76
O 0.0323 0.3217 0.4316  1 Mo 1.76
O 0.0630 0.1283 0.8627  1 Mo 1.76
O 0.0817 0.0751 0.1644  1 Mo 1.76
O 0.1403 0.4349 0.9127  1 Mo 1.76
O 0.1634 0.3593 0.2169  1 Mo 1.76
O 0.2343 0.3194 0.4826  1 Mo 1.76